## K3Sr (GGA-PBE)

Data for a relaxed K3Sr crystal.

## Properties
ρ: 1.234 g/cm3
space group: P6_3/mmc
excess energy over the best structure of this formula in the dataset: 8.0 meV/atom

The structure in POSCAR format:
```
K3Sr
1.0
-3.5374 5.9055 6.1138
-0.0207 -9.0330 1.7809
6.7262 0.6316 3.2816
K Sr
6 2
Direct
0.1679 0.3359 0.2500
0.6641 0.8321 0.2500
0.1679 0.8321 0.2500
0.8321 0.6641 0.7500
0.3359 0.1679 0.7500
0.8321 0.1679 0.7500
0.3333 0.6667 0.7500
0.6667 0.3333 0.2500
```